(a)
Density functional theory data (GGA+U) for a relaxed LiMnVP2H2O10 crystal.

Results
- M_tot (μB per cell) = 10.000

POSCAR file:
```
LiMnVP2H2O10
1.0
-3.164 -3.661 -1.965
0.845 -0.973 7.275
-6.961 7.798 -1.086
V O Mn H P Li
2 20 2 4 4 2
Direct
0.500 0.000 0.500
0.000 0.500 0.000
0.220 0.460 0.324
0.762 0.051 0.121
0.392 0.022 0.672
0.633 0.281 0.903
0.743 0.444 0.372
0.697 0.941 0.830
0.780 0.540 0.676
0.238 0.949 0.879
0.303 0.059 0.170
0.179 0.307 0.023
0.257 0.556 0.628
0.367 0.719 0.097
0.653 0.792 0.515
0.120 0.478 0.829
0.123 0.786 0.405
0.877 0.214 0.595
0.608 0.978 0.328
0.880 0.522 0.171
0.347 0.208 0.485
0.821 0.693 0.977
0.500 0.500 0.500
0.000 0.000 0.000
0.832 0.817 0.482
0.328 0.317 0.969
0.168 0.183 0.518
0.672 0.683 0.031
0.996 0.446 0.679
0.495 0.046 0.821
0.004 0.554 0.321
0.505 0.954 0.179
0.569 0.644 0.795
0.431 0.356 0.205
```



(b)
Density functional theory data (GGA+U) for a relaxed LiMnVP2H2O10 crystal.

Results
- M_tot (μB per cell) = 5.002

POSCAR file:
```
LiMnVP2H2O10
1.0
-1.133 5.146 -0.693
-6.234 -4.245 -1.018
0.977 0.526 5.052
H P O Mn V Li
2 2 10 1 1 1
Direct
0.944 0.323 0.317
0.052 0.680 0.673
0.668 0.761 0.354
0.347 0.246 0.638
0.363 0.613 0.243
0.652 0.395 0.750
0.315 0.132 0.318
0.114 0.735 0.879
0.899 0.271 0.110
0.702 0.876 0.675
0.152 0.360 0.683
0.863 0.646 0.311
0.281 0.093 0.783
0.735 0.913 0.208
0.009 0.006 0.998
0.007 0.503 0.996
0.496 0.984 0.977
```



Which structure is the most stable? The one labeled (a).



(a)
Density functional theory data (GGA+U) for a relaxed Li2MnVP2H2O10 crystal.

Results
- M_tot (μB per cell) = 18.000

POSCAR file:
```
Li2MnVP2H2O10
1.0
-1.081 -4.280 -3.236
6.151 3.052 -2.538
6.764 -7.979 9.804
O P H V Li Mn
30 6 6 3 6 3
Direct
0.260 0.953 0.602
0.361 0.555 0.623
0.796 0.972 0.591
0.067 0.394 0.733
0.069 0.391 0.113
0.854 0.688 0.070
0.520 0.355 0.737
0.695 0.887 0.957
0.035 0.214 0.290
0.545 0.324 0.204
0.398 0.714 0.447
0.146 0.312 0.930
0.931 0.609 0.887
0.733 0.058 0.780
0.204 0.028 0.409
0.599 0.273 0.934
0.933 0.606 0.267
0.209 0.991 0.871
0.480 0.645 0.263
0.893 0.661 0.537
0.401 0.727 0.066
0.455 0.676 0.796
0.791 0.009 0.129
0.107 0.339 0.463
0.740 0.047 0.398
0.602 0.286 0.553
0.639 0.445 0.377
0.965 0.786 0.710
0.267 0.942 0.220
0.305 0.113 0.043
0.972 0.843 0.607
0.028 0.157 0.393
0.309 0.175 0.942
0.357 0.492 0.724
0.643 0.508 0.276
0.691 0.825 0.058
0.776 0.056 0.714
0.554 0.287 0.620
0.224 0.944 0.286
0.446 0.713 0.380
0.111 0.387 0.046
0.889 0.613 0.954
0.500 0.000 0.500
0.169 0.167 0.167
0.831 0.833 0.833
0.649 0.073 0.251
0.019 0.587 0.416
0.981 0.413 0.584
0.312 0.741 0.918
0.688 0.259 0.082
0.351 0.927 0.749
0.833 0.334 0.833
0.167 0.666 0.167
0.500 0.500 0.500
```



(b)
Density functional theory data (GGA+U) for a relaxed Li2MnVP2H2O10 crystal.

Results
- M_tot (μB per cell) = 18.000

POSCAR file:
```
Li2MnVP2H2O10
1.0
5.434 0.000 0.000
-2.021 7.114 0.000
-1.086 -1.309 14.345
O P Li H V Mn
30 6 6 6 3 3
Direct
0.909 0.215 0.570
0.768 0.435 0.099
0.626 0.841 0.963
0.687 0.521 0.904
0.441 0.106 0.387
0.133 0.956 0.876
0.099 0.779 0.053
0.767 0.441 0.721
0.233 0.559 0.279
0.559 0.894 0.613
0.952 0.131 0.756
0.374 0.159 0.037
0.867 0.044 0.124
0.091 0.785 0.430
0.196 0.377 0.460
0.728 0.490 0.370
0.272 0.510 0.630
0.048 0.869 0.244
0.232 0.565 0.901
0.524 0.722 0.792
0.620 0.796 0.420
0.055 0.823 0.706
0.380 0.204 0.580
0.313 0.479 0.096
0.578 0.884 0.233
0.476 0.278 0.208
0.945 0.177 0.294
0.422 0.116 0.767
0.804 0.623 0.540
0.901 0.221 0.947
0.806 0.671 0.438
0.476 0.340 0.108
0.135 0.005 0.774
0.865 0.995 0.226
0.194 0.329 0.562
0.524 0.660 0.892
0.481 0.905 0.084
0.182 0.752 0.584
0.519 0.095 0.916
0.856 0.417 0.248
0.818 0.248 0.416
0.144 0.583 0.752
0.387 0.105 0.450
0.718 0.443 0.787
0.945 0.220 0.882
0.055 0.780 0.118
0.613 0.895 0.550
0.282 0.557 0.213
0.000 0.000 0.000
0.336 0.832 0.332
0.664 0.168 0.668
0.337 0.333 0.333
0.663 0.667 0.667
0.000 0.500 0.000
```



Which structure is the most stable? The one labeled (a).



(a)
Density functional theory data (GGA+U) for a relaxed LiMnH4S2O10 crystal.

Results
- M_tot (μB per cell) = 7.999

POSCAR file:
```
LiMnH4S2O10
1.0
-8.685 6.899 -6.479
-3.641 -1.063 3.750
0.823 4.267 3.440
H Li O Mn S
8 2 20 2 4
Direct
0.799 0.258 0.088
0.704 0.760 0.097
0.299 0.742 0.912
0.853 0.073 0.313
0.204 0.240 0.903
0.151 0.430 0.682
0.651 0.570 0.318
0.353 0.927 0.687
0.616 0.010 0.417
0.116 0.990 0.583
0.559 0.572 0.753
0.958 0.612 0.765
0.182 0.660 0.447
0.458 0.388 0.235
0.449 0.936 0.248
0.059 0.428 0.247
0.541 0.106 0.761
0.322 0.226 0.999
0.638 0.734 0.198
0.949 0.064 0.752
0.314 0.138 0.446
0.041 0.894 0.239
0.365 0.772 0.819
0.814 0.862 0.554
0.173 0.735 0.993
0.682 0.340 0.553
0.138 0.266 0.802
0.822 0.774 0.001
0.865 0.228 0.181
0.673 0.265 0.007
0.498 0.745 0.005
0.998 0.255 0.995
0.381 0.181 0.228
0.616 0.317 0.774
0.116 0.683 0.226
0.881 0.819 0.772
```



(b)
Density functional theory data (GGA+U) for a relaxed LiMnH4S2O10 crystal.

Results
- M_tot (μB per cell) = 8.004

POSCAR file:
```
LiMnH4S2O10
1.0
-0.792 1.931 5.375
-1.487 -6.908 -0.377
10.492 -0.557 -0.442
S H O Li Mn
4 8 20 2 2
Direct
0.158 0.774 0.432
0.169 0.765 0.919
0.842 0.242 0.081
0.844 0.237 0.572
0.665 0.693 0.297
0.376 0.581 0.194
0.586 0.342 0.367
0.386 0.650 0.629
0.462 0.682 0.790
0.632 0.408 0.790
0.327 0.303 0.706
0.557 0.321 0.207
0.116 0.369 0.126
0.482 0.254 0.277
0.310 0.647 0.451
0.688 0.372 0.094
0.520 0.739 0.713
0.195 0.867 0.312
0.212 0.897 0.053
0.765 0.111 0.944
0.756 0.070 0.448
0.359 0.668 0.920
0.876 0.655 0.403
0.190 0.894 0.813
0.793 0.125 0.685
0.229 0.942 0.556
0.707 0.377 0.561
0.899 0.616 0.879
0.544 0.706 0.218
0.124 0.352 0.611
0.783 0.086 0.171
0.465 0.292 0.778
0.829 0.740 0.608
0.772 0.700 0.064
0.500 0.025 0.752
0.503 0.982 0.250
```



Which structure is the most stable? The one labeled (a).



(a)
Density functional theory data (GGA+U) for a relaxed Li2VP2HO8 crystal.

Results
- M_tot (μB per cell) = 8.002

POSCAR file:
```
Li2VP2HO8
1.0
-4.090 -4.044 -5.752
7.973 -1.131 -3.254
0.101 -5.857 7.708
O P H V Li
32 8 4 4 8
Direct
0.190 0.008 0.064
0.263 0.600 0.123
0.932 0.137 0.711
0.620 0.655 0.361
0.620 0.655 0.861
0.810 0.992 0.436
0.737 0.400 0.377
0.322 0.091 0.369
0.250 0.406 0.883
0.190 0.007 0.564
0.737 0.400 0.877
0.263 0.600 0.623
0.250 0.406 0.383
0.363 0.832 0.446
0.750 0.594 0.617
0.932 0.137 0.211
0.380 0.345 0.639
0.678 0.909 0.631
0.750 0.594 0.117
0.363 0.832 0.947
0.322 0.091 0.869
0.810 0.993 0.936
0.068 0.863 0.289
0.637 0.168 0.553
0.071 0.317 0.548
0.380 0.345 0.139
0.929 0.683 0.952
0.068 0.863 0.789
0.929 0.683 0.452
0.637 0.168 0.054
0.071 0.317 0.048
0.678 0.909 0.131
0.766 0.058 0.080
0.756 0.576 0.954
0.244 0.424 0.046
0.756 0.576 0.454
0.766 0.058 0.580
0.234 0.942 0.420
0.234 0.942 0.920
0.244 0.424 0.546
0.550 0.869 0.565
0.450 0.131 0.435
0.550 0.869 0.065
0.450 0.131 0.935
0.816 0.787 0.297
0.816 0.787 0.797
0.184 0.213 0.203
0.184 0.213 0.703
0.140 0.770 0.610
0.372 0.617 0.835
0.140 0.770 0.110
0.372 0.618 0.335
0.860 0.230 0.890
0.628 0.383 0.665
0.628 0.382 0.165
0.860 0.230 0.390
```



(b)
Density functional theory data (GGA+U) for a relaxed Li2VP2HO8 crystal.

Results
- M_tot (μB per cell) = 8.000

POSCAR file:
```
Li2VP2HO8
1.0
3.016 0.000 7.396
-0.001 8.163 0.000
-9.728 0.001 -0.006
P O Li H V
8 32 8 4 4
Direct
0.231 0.851 0.431
0.269 0.351 0.069
0.231 0.851 0.931
0.269 0.351 0.569
0.736 0.653 0.435
0.736 0.653 0.935
0.764 0.153 0.565
0.764 0.153 0.065
0.552 0.561 0.407
0.653 0.174 0.398
0.687 0.817 0.352
0.348 0.828 0.600
0.948 0.061 0.593
0.687 0.817 0.852
0.338 0.960 0.362
0.837 0.541 0.363
0.948 0.061 0.093
0.552 0.561 0.907
0.190 0.683 0.351
0.310 0.183 0.149
0.348 0.828 0.100
0.663 0.041 0.137
0.051 0.941 0.905
0.162 0.460 0.638
0.449 0.441 0.595
0.152 0.328 0.900
0.449 0.441 0.095
0.653 0.174 0.898
0.813 0.317 0.148
0.152 0.328 0.400
0.310 0.183 0.649
0.837 0.541 0.863
0.847 0.673 0.602
0.813 0.317 0.648
0.162 0.460 0.138
0.338 0.960 0.862
0.663 0.041 0.637
0.190 0.683 0.851
0.847 0.673 0.102
0.051 0.941 0.405
0.843 0.864 0.731
0.342 0.637 0.724
0.656 0.364 0.269
0.844 0.864 0.231
0.656 0.364 0.769
0.342 0.637 0.224
0.158 0.137 0.276
0.158 0.137 0.776
0.511 0.510 0.492
0.989 0.010 0.508
0.511 0.510 0.992
0.988 0.010 0.008
0.496 0.000 0.748
0.497 0.000 0.248
0.004 0.500 0.753
0.003 0.500 0.252
```



Which structure is the most stable? The one labeled (b).